1.
# Na3Al3Ge3O16, optimized geometry, DFT GGA-PBE
data_Na3Al3Ge3O16
_cell_length_a 13.1033
_cell_length_b 13.1033
_cell_length_c 15.8129
_cell_angle_alpha 90.00
_cell_angle_beta 90.00
_cell_angle_gamma 120.00
_space_group_name_H-M_alt 'R 3 c'
_space_group_IT_number 161
_space_group_name_Hall 'R 3 -2"c'
loop_
_atom_site_label
_atom_site_type_symbol
_atom_site_fract_x
_atom_site_fract_y
_atom_site_fract_z
Na1 Na 0.2090 0.4189 0.0000
Al1 Al 0.0014 0.2478 0.6467
Ge1 Ge 0.0002 0.2480 0.1469
O1 O 0.0000 0.0000 0.3379
O2 O 0.0031 0.2882 0.7542
O3 O 0.0030 0.2895 0.2540
O4 O 0.0472 0.5228 0.7766
O5 O 0.0524 0.1049 0.4149
O6 O 0.1916 0.0955 0.1432
# Energy of formation, meV per atom: -2004
# Crystal system: trigonal
# Volume, A^3/atom: 15.7
# E (MP2020), eV/atom: -6.33



2.
# H14RhC6NClO4, optimized geometry, DFT GGA-PBE
data_H14RhC6NClO4
_cell_length_a 9.335
_cell_length_b 11.236
_cell_length_c 12.051
_cell_angle_alpha 88.08
_cell_angle_beta 86.21
_cell_angle_gamma 66.90
_space_group_name_H-M_alt 'P -1'
_space_group_IT_number 2
_space_group_name_Hall '-P 1'
loop_
_atom_site_label
_atom_site_type_symbol
_atom_site_fract_x
_atom_site_fract_y
_atom_site_fract_z
H1 H 0.004 0.453 0.183
H2 H 0.044 0.825 0.360
H3 H 0.053 0.808 0.679
H4 H 0.063 0.600 0.014
H5 H 0.070 0.889 0.551
H6 H 0.074 0.392 0.469
H7 H 0.088 0.236 0.696
H8 H 0.117 0.685 0.276
H9 H 0.142 0.386 0.835
H10 H 0.160 0.482 0.717
H11 H 0.184 0.886 0.665
H12 H 0.188 0.634 0.848
H13 H 0.198 0.298 0.358
H14 H 0.201 0.434 0.018
H15 H 0.217 0.238 0.499
H16 H 0.259 0.961 0.365
H17 H 0.264 0.564 0.033
H18 H 0.330 0.007 0.181
H19 H 0.331 0.485 0.848
H20 H 0.349 0.183 0.777
H21 H 0.387 0.843 0.201
H22 H 0.403 0.030 0.363
H23 H 0.405 0.013 0.805
H24 H 0.417 0.116 0.910
H25 H 0.440 0.692 0.815
H26 H 0.458 0.858 0.386
H27 H 0.471 0.224 0.107
H28 H 0.474 0.655 0.958
Rh1 Rh 0.060 0.062 0.046
Rh2 Rh 0.483 0.545 0.406
C1 C 0.012 0.861 0.184
C2 C 0.020 0.780 0.288
C3 C 0.120 0.485 0.805
C4 C 0.133 0.830 0.619
C5 C 0.183 0.533 0.992
C6 C 0.193 0.323 0.446
C7 C 0.263 0.708 0.576
C8 C 0.282 0.831 0.932
C9 C 0.306 0.386 0.465
C10 C 0.381 0.945 0.343
C11 C 0.429 0.098 0.821
C12 C 0.441 0.734 0.896
N1 N 0.212 0.538 0.870
N2 N 0.409 0.924 0.221
Cl1 Cl 0.187 0.199 0.142
Cl2 Cl 0.444 0.634 0.199
O1 O 0.049 0.166 0.899
O2 O 0.066 0.949 0.186
O3 O 0.163 0.810 0.904
O4 O 0.274 0.927 0.990
O5 O 0.300 0.704 0.471
O6 O 0.329 0.619 0.647
O7 O 0.333 0.453 0.385
O8 O 0.365 0.367 0.561
# Energy of formation, meV per atom: -575
# Crystal system: triclinic
# Volume, A^3/atom: 10.7
# E (MP2020), eV/atom: -5.77



3.
# Sc2AlC, optimized geometry, DFT GGA-PBE
data_Sc2AlC
_cell_length_a 3.2951
_cell_length_b 3.2951
_cell_length_c 15.0540
_cell_angle_alpha 90.00
_cell_angle_beta 90.00
_cell_angle_gamma 120.00
_space_group_name_H-M_alt 'P 63/m m c'
_space_group_IT_number 194
_space_group_name_Hall '-P 6c 2c'
loop_
_atom_site_label
_atom_site_type_symbol
_atom_site_fract_x
_atom_site_fract_y
_atom_site_fract_z
Sc1 Sc 0.3333 0.6667 0.0828
Al1 Al 0.3333 0.6667 0.7500
C1 C 0.0000 0.0000 0.0000
# Energy of formation, meV per atom: -439
# Crystal system: hexagonal
# Volume, A^3/atom: 17.7